The following is a DFT calculation (PBE) of a geometry-optimized GdBrO structure.

Computed properties:
**E_form**: -3134 meV per atom

Cell and atoms, written as extended XYZ:
```
6
Lattice="3.9064 0.0000 0.0000 0.0000 3.9064 0.0000 0.0000 0.0000 8.7788" Properties=species:S:1:pos:R:3 pbc="T T T"
Gd 1.9532 0.0000 7.6060
Br 0.0000 1.9532 5.9512
Gd 0.0000 1.9532 1.1727
Br 1.9532 0.0000 2.8275
O 1.9532 1.9532 0.0000
O 0.0000 0.0000 0.0000
```